DFT (PBE+U) results for a relaxed structure of Sc2V2O7.

abc: 6.936 6.937 6.937
angles: 60.01 60.00 60.00
Element x y z (fractional)
1 O 0.911 0.339 0.339
2 O 0.339 0.911 0.339
3 O 0.375 0.375 0.375
4 O 0.339 0.339 0.911
5 O 0.339 0.911 0.911
6 O 0.089 0.661 0.661
7 O 0.089 0.661 0.089
8 O 0.911 0.911 0.339
9 O 0.625 0.625 0.625
10 O 0.661 0.661 0.089
11 O 0.661 0.089 0.089
12 O 0.089 0.089 0.661
13 O 0.661 0.089 0.661
14 O 0.911 0.339 0.911
15 V 0.000 0.500 0.000
16 V 0.000 0.000 0.500
17 V 0.000 0.000 0.000
18 V 0.500 0.000 0.000
19 Sc 0.500 0.500 0.500
20 Sc 0.500 0.000 0.500
21 Sc 0.000 0.500 0.500
22 Sc 0.500 0.500 0.000

Properties
calculated total energy: -182.828 eV/cell
E_form: -3.10 eV per atom
density: 4.3 g/cm3